1.
This record from the Materials Project database describes a geometry-optimized CsHoW2O8 structure. The functional is PBE with a Hubbard U.

Lattice parameters (Å, degrees): 7.655 7.655 7.570 117.41 117.41 88.59
Element x y z (fractional)
Cs  0.198  0.802  0.750
Cs  0.802  0.198  0.250
Ho  0.223  0.777  0.250
Ho  0.777  0.223  0.750
W  0.301  0.313  0.283
W  0.313  0.301  0.783
W  0.687  0.699  0.217
W  0.699  0.687  0.717
O  0.049  0.219  0.701
O  0.061  0.372  0.124
O  0.219  0.049  0.201
O  0.250  0.380  0.565
O  0.371  0.591  0.036
O  0.372  0.061  0.624
O  0.380  0.250  0.065
O  0.409  0.629  0.464
O  0.591  0.371  0.536
O  0.620  0.750  0.935
O  0.628  0.939  0.376
O  0.629  0.409  0.964
O  0.750  0.620  0.435
O  0.781  0.951  0.799
O  0.939  0.628  0.876
O  0.951  0.781  0.299

Calculated values
For the final energy, the calculation gives -7.364 eV per atom. The value obtained for the formation enthalpy at 0 K is -2.646 eV per atom. The value obtained for the energy with MP2020 corrections is -8.561 eV/atom.


2.
This record from the Materials Project database describes a geometry-optimized CsMoIO6 structure. The functional is PBE with a Hubbard U.

Lattice parameters (Å, degrees): 8.050 10.684 7.536 90.00 90.00 90.00
Element x y z (fractional)
Cs  0.015  0.123  0.000
Cs  0.485  0.623  0.500
Cs  0.515  0.377  0.000
Cs  0.985  0.877  0.500
Mo  0.008  0.474  0.222
Mo  0.492  0.974  0.722
Mo  0.508  0.026  0.222
Mo  0.992  0.526  0.722
I  0.226  0.740  0.055
I  0.274  0.240  0.555
I  0.726  0.760  0.055
I  0.774  0.260  0.555
O  0.054  0.511  0.965
O  0.074  0.157  0.543
O  0.139  0.655  0.251
O  0.140  0.641  0.669
O  0.191  0.386  0.256
O  0.218  0.382  0.678
O  0.282  0.882  0.178
O  0.309  0.886  0.756
O  0.360  0.141  0.169
O  0.361  0.155  0.751
O  0.426  0.657  0.043
O  0.446  0.011  0.465
O  0.554  0.989  0.965
O  0.574  0.343  0.543
O  0.639  0.845  0.251
O  0.640  0.859  0.669
O  0.691  0.114  0.256
O  0.718  0.118  0.678
O  0.782  0.618  0.178
O  0.809  0.614  0.756
O  0.860  0.359  0.169
O  0.861  0.345  0.751
O  0.926  0.843  0.043
O  0.946  0.489  0.465

Calculated values
For the final energy, the calculation gives -5.601 eV per atom. The value obtained for the formation enthalpy at 0 K is -1.642 eV per atom. The value obtained for the energy with MP2020 corrections is -6.415 eV/atom.


3.
This record from the Materials Project database describes a geometry-optimized CsK2LaV2O8 structure. The functional is PBE with a Hubbard U.

Lattice parameters (Å, degrees): 7.965 6.096 10.203 90.00 91.14 90.00
Element x y z (fractional)
Cs  0.125  0.250  0.409
Cs  0.875  0.750  0.591
K  0.004  0.750  0.190
K  0.304  0.750  0.919
K  0.696  0.250  0.081
K  0.996  0.250  0.810
La  0.494  0.250  0.712
La  0.506  0.750  0.288
V  0.265  0.250  0.084
V  0.314  0.750  0.578
V  0.686  0.250  0.422
V  0.735  0.750  0.916
O  0.050  0.250  0.090
O  0.223  0.750  0.420
O  0.261  0.514  0.666
O  0.261  0.986  0.666
O  0.327  0.250  0.921
O  0.343  0.012  0.162
O  0.343  0.488  0.162
O  0.476  0.250  0.454
O  0.524  0.750  0.546
O  0.657  0.512  0.838
O  0.657  0.988  0.838
O  0.673  0.750  0.079
O  0.739  0.014  0.334
O  0.739  0.486  0.334
O  0.777  0.250  0.580
O  0.950  0.750  0.910

Calculated values
For the final energy, the calculation gives -6.785 eV per atom. The value obtained for the formation enthalpy at 0 K is -2.720 eV per atom. The value obtained for the energy with MP2020 corrections is -7.421 eV/atom.